20
Lattice="5.7197 0.0000 0.0000 0.0000 7.6710 0.0000 0.0000 0.0000 5.3193" Properties=species:S:1:pos:R:3 comment="GGA+U CeNiO3, relaxed" total_energy_ev_per_atom=-7.140 total_magnetization_mub_per_cell=8.0 sg="Pnma, No. 62" pbc="T T T"
Ce 0.4383 1.9178 0.1280
Ce 2.4216 5.7533 2.7877
Ce 3.2981 1.9178 2.5316
Ce 5.2814 5.7533 5.1913
Ni 0.0000 0.0000 2.6596
Ni 0.0000 3.8355 2.6596
Ni 2.8599 0.0000 0.0000
Ni 2.8599 3.8355 0.0000
O 0.2716 5.7533 1.9828
O 1.0745 4.3290 4.3507
O 1.0745 7.1775 4.3507
O 1.7854 0.4935 1.6910
O 1.7854 3.3420 1.6910
O 2.5883 1.9178 4.6424
O 3.1314 5.7533 0.6769
O 3.9344 4.3290 3.6283
O 3.9344 7.1775 3.6283
O 4.6452 0.4935 0.9686
O 4.6452 3.3420 0.9686
O 5.4482 1.9178 3.3365